{"formula": "NaSc3", "functional": "PBE", "state": "relaxed", "m_tot_mub_per_atom": 0.522, "total_energy_ev_per_cell": -18.8, "cell": [[-2.337, 2.337, 4.818], [2.337, -2.337, 4.818], [2.337, 2.337, -4.818]], "species": ["Sc", "Sc", "Sc", "Na"], "fractional_positions": [[0.500, 0.500, 0.000], [0.250, 0.750, 0.500], [0.750, 0.250, 0.500], [0.000, 0.000, 0.000]]}